Entry from the Materials Project database: an optimized crystal structure of K3TaO2F7 (PBE).

Cell: 7.252 14.109 9.521 Å, 90.00 90.00 90.00°
Fractional coordinates of all 52 atoms:
1 K 0.216 0.153 0.000
2 K 0.227 0.158 0.474
3 K 0.238 0.844 0.236
4 K 0.262 0.344 0.736
5 K 0.273 0.658 0.974
6 K 0.284 0.653 0.500
7 K 0.716 0.347 0.000
8 K 0.727 0.342 0.474
9 K 0.738 0.656 0.236
10 K 0.762 0.156 0.736
11 K 0.773 0.842 0.974
12 K 0.784 0.847 0.500
13 Ta 0.215 0.929 0.736
14 Ta 0.285 0.429 0.236
15 Ta 0.715 0.571 0.736
16 Ta 0.785 0.071 0.236
17 O 0.006 0.448 0.298
18 O 0.015 0.446 0.154
19 O 0.485 0.946 0.654
20 O 0.494 0.948 0.798
21 O 0.506 0.052 0.298
22 O 0.515 0.054 0.154
23 O 0.985 0.554 0.654
24 O 0.994 0.552 0.798
25 F 0.005 0.739 0.087
26 F 0.011 0.281 0.908
27 F 0.051 0.087 0.244
28 F 0.162 0.929 0.534
29 F 0.183 0.936 0.940
30 F 0.193 0.066 0.733
31 F 0.242 0.294 0.243
32 F 0.258 0.794 0.743
33 F 0.307 0.566 0.233
34 F 0.317 0.436 0.440
35 F 0.338 0.429 0.034
36 F 0.449 0.587 0.744
37 F 0.489 0.781 0.408
38 F 0.495 0.239 0.587
39 F 0.505 0.761 0.087
40 F 0.511 0.219 0.908
41 F 0.551 0.413 0.244
42 F 0.662 0.571 0.534
43 F 0.683 0.564 0.940
44 F 0.693 0.434 0.733
45 F 0.742 0.206 0.243
46 F 0.758 0.706 0.743
47 F 0.807 0.934 0.233
48 F 0.817 0.064 0.440
49 F 0.838 0.071 0.034
50 F 0.949 0.913 0.744
51 F 0.989 0.719 0.408
52 F 0.995 0.261 0.587

## Properties
energy above the lowest structure with this stoichiometry = 5 meV per atom
energy of formation from the pure elements = -2.852 eV/atom